--- w ---
86
Lattice="8.4682 -4.8587 0.0000 8.4682 4.8587 0.0000 -0.1610 0.0000 14.3735" Properties=species:S:1:pos:R:3 comment="PBE with a Hubbard U Li3V3P8O29, optimized geometry" magmom_total_mub_per_atom=0.0000 mass_density_g_cm3=2.49 pbc="T T T"
Li 8.3877 4.3916 7.1867
Li 7.1785 2.1585 0.7335
Li 7.0980 -2.1585 7.9203
Li 13.5930 0.6386 6.2509
Li 13.5125 -0.6386 13.4376
Li 8.4682 -4.3916 0.0000
V 11.4826 2.7540 10.7103
V 7.9143 0.6224 3.5487
V 12.6450 2.1593 3.3761
V 7.8338 -0.6224 10.7354
V 11.5631 -2.7540 3.5236
V 12.5646 -2.1593 10.5628
P 1.9395 0.6873 11.9608
P 6.0206 2.9717 4.7521
P 7.0144 2.2531 12.0040
P 2.0200 -0.6873 4.7741
P 9.7337 2.9860 2.1418
P 8.5426 2.3115 9.4421
P 5.1102 0.0636 1.8126
P 5.0297 -0.0636 8.9993
P 10.7513 0.0028 5.1562
P 10.6708 -0.0028 12.3429
P 7.0949 -2.2531 4.8172
P 5.9402 -2.9717 11.9388
P 13.6092 0.6861 9.3417
P 8.6231 -2.3115 2.2554
P 13.6897 -0.6861 2.1550
P 9.6532 -2.9860 9.3285
O 3.2608 1.4812 11.7250
O 4.6636 2.2415 4.6343
O 5.5636 2.7989 11.8644
O 2.3667 0.8242 4.6548
O 3.8797 0.7504 2.4930
O 5.0086 1.4000 9.6363
O 9.5514 3.8385 0.9490
O 9.5807 3.8661 3.4780
O 7.8447 2.8944 10.7960
O 7.8877 2.8837 8.2486
O 9.7340 3.8290 5.9899
O 7.5841 2.6257 13.3249
O 2.2862 -0.8242 11.8415
O 7.1769 1.9305 4.6798
O 5.1351 0.0899 0.3328
O 6.3763 0.7909 2.4023
O 3.7992 -0.7504 9.6797
O 5.0546 -0.0899 7.5195
O 8.6058 1.9089 2.2460
O 10.0236 2.7755 9.5583
O 7.0196 0.7098 11.7481
O 3.3413 -1.4812 4.5383
O 11.1127 2.2447 2.3097
O 8.4901 0.7665 9.6042
O 5.0891 -1.4000 2.4495
O 6.2958 -0.7909 9.5890
O 10.6398 1.4333 11.7130
O 9.4685 0.6991 4.5183
O 7.1001 -0.7098 4.5614
O 4.5831 -2.2415 11.8210
O 12.2853 1.4320 9.5794
O 8.5706 -0.7665 2.4175
O 5.6441 -2.7989 4.6777
O 7.0964 -1.9305 11.8666
O 9.3881 -0.6991 11.7050
O 11.9960 0.7167 4.5179
O 10.7825 0.0142 6.6372
O 10.7020 -0.0142 13.8239
O 8.5253 -1.9089 9.4327
O 13.4325 0.8430 2.2704
O 7.6646 -2.6257 6.1381
O 14.2965 1.0675 8.0604
O 14.5979 1.0518 10.5516
O 7.9251 -2.8944 3.6093
O 7.9682 -2.8837 1.0619
O 14.5472 0.9454 13.0825
O 10.7203 -1.4333 4.5263
O 11.9155 -0.7167 11.7047
O 12.3658 -1.4320 2.3926
O 13.3520 -0.8430 9.4572
O 10.1041 -2.7755 2.3716
O 11.0322 -2.2447 9.4964
O 14.3770 -1.0675 0.8736
O 9.4709 -3.8385 8.1357
O 14.6277 -0.9454 5.8958
O 9.5002 -3.8661 10.6647
O 9.6535 -3.8290 13.1766
O 14.6783 -1.0518 3.3649

***

--- x ---
86
Lattice="9.7520 0.0000 0.0000 -4.8495 8.4721 0.0000 -0.0137 -0.0618 14.1532" Properties=species:S:1:pos:R:3 comment="PBE with a Hubbard U Li3V3P8O29, optimized geometry" magmom_total_mub_per_atom=0.0000 mass_density_g_cm3=2.51 pbc="T T T"
Li 0.0000 0.0000 0.0000
Li -2.7122 4.8894 6.2964
Li 0.7152 2.9939 11.8261
Li -0.0967 6.0431 12.7825
Li 0.0970 6.0718 5.3764
Li 2.0507 3.7154 6.2566
V 2.8108 0.8545 2.0090
V 2.1697 1.9229 9.0367
V 4.2281 5.6839 1.9599
V 6.9951 0.8796 9.0261
V 5.5026 5.6692 9.1647
V 7.6316 2.0183 2.0156
P 0.0169 0.0322 3.6564
P -0.0155 0.0492 10.7416
P -2.5982 4.9820 3.2647
P -1.8903 3.7334 10.3617
P -0.6719 3.0498 7.7354
P -2.5340 6.4427 0.6597
P 0.6482 3.0048 0.6860
P -1.8936 7.5067 7.7434
P 1.9500 3.7765 3.2472
P -0.6261 8.2451 10.3581
P 2.5786 4.9249 10.4014
P 0.7393 8.2565 3.2831
P 2.6216 6.3684 7.7854
P 1.9549 7.5723 0.6452
P 4.8792 2.8605 0.2927
P 4.9008 2.8788 7.3891
O -4.1405 7.2515 10.1426
O 0.0281 0.0359 5.1319
O -0.0039 0.0940 12.2304
O -0.8858 2.7467 0.8169
O -2.9501 6.3674 7.8629
O -2.1434 5.5570 4.5588
O -1.0634 3.8635 6.5565
O -1.0240 3.7950 11.5595
O -0.9486 3.9213 9.0644
O -1.9653 5.7737 2.0336
O -1.9489 5.7044 13.6483
O 1.4563 0.0767 3.0092
O 0.7294 1.3164 10.1539
O 1.3311 1.6221 0.8505
O 0.8590 2.7383 7.7894
O 2.2075 0.4106 7.9710
O -2.0427 7.9288 0.7948
O 0.9700 3.6717 13.5912
O -1.0865 7.4180 6.5156
O 0.9876 3.9284 1.9683
O -0.9819 7.3509 9.0630
O -0.9771 7.5364 11.5953
O 1.1949 3.8834 4.5238
O 3.4284 1.1221 10.1093
O 2.6956 2.4431 3.0510
O 2.1025 3.4367 10.2599
O 4.0660 0.1335 3.1423
O 4.0766 1.6775 0.9475
O 3.4159 2.8857 7.9840
O 1.9905 5.6566 9.0930
O 1.0540 7.3962 1.9686
O 1.0094 7.4520 4.4884
O 2.1029 5.5578 11.6381
O 1.0839 7.3537 13.6099
O 2.1246 5.6403 6.5888
O 2.9617 4.9573 3.1044
O 5.7225 0.1263 10.1779
O 4.8591 2.8119 12.9729
O 5.5965 1.6227 8.0197
O 4.8620 2.9256 5.9059
O 4.2591 4.1594 0.9360
O 3.0078 6.4098 0.7822
O 2.1605 7.8462 7.8802
O 4.1426 4.9417 10.1729
O 6.3933 1.0958 3.1145
O 4.1646 6.3384 7.9982
O 7.6409 0.4028 0.7930
O 6.2919 2.7469 0.9751
O 5.6503 4.1198 7.9941
O 8.3242 0.0444 10.0958
O 4.2452 7.2525 2.9768
O 7.0927 2.4006 10.1489
O 5.6291 4.9966 3.0399
O 8.2891 1.7244 7.9350
O 5.6655 6.5153 0.7772
O 6.8214 4.8930 10.2413
O 7.6490 3.5057 3.1133
O 9.0190 1.2531 2.9924

***

--- y ---
86
Lattice="8.4687 -4.8783 0.0000 8.4687 4.8783 0.0000 -0.0013 0.0000 13.8942" Properties=species:S:1:pos:R:3 comment="PBE with a Hubbard U Li3V3P8O29, optimized geometry" magmom_total_mub_per_atom=0.0000 mass_density_g_cm3=2.56 pbc="T T T"
Li 8.4681 2.8679 6.9471
Li 9.6554 2.2382 13.8492
Li 11.2551 2.2145 5.2998
Li 8.4687 -2.8679 0.0000
Li 9.6561 -2.2382 6.9021
Li 11.2544 -2.2145 12.2469
V 6.7072 2.7929 9.6419
V 5.6363 2.0901 2.6343
V 5.6356 -2.0901 9.5814
V 10.4244 0.6444 2.6119
V 6.7078 -2.7929 2.6948
V 10.4237 -0.6444 9.5590
P 7.7579 4.1774 1.3477
P 3.9108 1.9268 8.2459
P 4.6110 0.6886 10.8699
P 8.4844 2.9184 3.9383
P 4.6116 -0.6886 3.9228
P 9.6765 2.2243 10.8603
P 3.9115 -1.9268 1.2988
P 11.1907 2.2289 8.3193
P 7.6037 0.0158 7.8733
P 7.6043 -0.0158 0.9262
P 13.2327 0.0240 11.2911
P 13.2333 -0.0240 4.3440
P 9.6771 -2.2243 3.9133
P 8.4837 -2.9184 10.8854
P 7.7572 -4.1774 8.2948
P 11.1913 -2.2289 1.3722
O 6.3988 3.4670 1.6138
O 5.2004 2.7681 8.5720
O 4.1415 2.0742 1.4261
O 7.5542 4.0402 8.3311
O 3.9588 1.1978 12.0948
O 8.6589 3.8982 2.6801
O 3.7110 1.0132 9.5724
O 3.9579 1.1501 7.0006
O 8.4621 3.6814 0.1433
O 8.4213 3.6465 5.2244
O 8.2462 2.7889 10.7397
O 4.8642 0.8309 3.8241
O 5.9925 1.4064 10.6093
O 7.1990 2.0871 3.6540
O 7.6379 1.4787 8.4375
O 6.3726 0.7227 1.5704
O 10.4327 2.8728 9.5839
O 3.7117 -1.0132 2.6253
O 3.9585 -1.1501 0.0535
O 3.9594 -1.1978 5.1477
O 10.3804 2.4965 12.1313
O 10.4297 2.4995 7.0585
O 4.8635 -0.8309 10.7712
O 9.7333 1.9736 3.8605
O 8.8916 0.7645 1.5222
O 6.3720 -0.7227 8.5175
O 7.6791 0.0326 13.3365
O 11.1490 1.9694 1.4113
O 4.1409 -2.0742 8.3732
O 7.6797 -0.0326 6.3894
O 5.9932 -1.4064 3.6623
O 9.6286 0.6849 10.5606
O 5.2011 -2.7681 1.6249
O 11.2497 0.6874 8.5720
O 7.6385 -1.4787 1.4904
O 8.8910 -0.7645 8.4693
O 11.9722 0.7560 3.7555
O 13.2597 1.4470 10.6478
O 7.1983 -2.0871 10.6010
O 9.6293 -0.6849 3.6136
O 6.3982 -3.4670 8.5608
O 11.2504 -0.6874 1.6249
O 8.2468 -2.7889 3.7926
O 9.7326 -1.9736 10.8076
O 13.2291 0.0403 5.8239
O 14.5016 0.7192 3.7104
O 11.9715 -0.7560 10.7025
O 13.2285 -0.0403 12.7709
O 7.5548 -4.0402 1.3841
O 11.1484 -1.9694 8.3584
O 10.3810 -2.4965 5.1842
O 8.4206 -3.6465 12.1715
O 10.4304 -2.4995 0.1114
O 8.4615 -3.6814 7.0904
O 10.4334 -2.8728 2.6368
O 8.6582 -3.8982 9.6272
O 14.5009 -0.7192 10.6575
O 13.2604 -1.4470 3.7008

***

In eV/atom, relative to the most stable structure: w 0.000; x 0.009; y 0.015.

***

--- w ---
86
Lattice="9.7586 0.0000 0.0000 4.8770 8.4644 0.0000 0.0013 0.1066 14.2193" Properties=species:S:1:pos:R:3 comment="PBE with a Hubbard U Li3V3P8O29, optimized geometry" magmom_total_mub_per_atom=0.0000 mass_density_g_cm3=2.50 pbc="T T T"
Li 0.0000 0.0000 0.0000
Li 2.1248 3.7232 7.7635
Li 9.1695 8.4214 0.6548
Li 10.5023 8.4714 7.7364
Li 9.3547 5.5775 8.5588
Li 9.9211 5.2200 1.4712
V 2.1855 2.0029 4.9719
V 4.3087 5.7274 12.1597
V 5.5541 5.6510 5.0535
V 2.8185 0.9242 12.0916
V 7.6997 2.1142 12.1189
V 7.1201 0.9455 5.0045
P 0.0308 0.0838 10.4648
P 4.9611 8.4686 3.3608
P 4.9078 2.8427 6.7170
P 4.9396 2.8855 13.8302
P 7.8902 7.5685 6.2737
P 7.2512 6.4816 13.4940
P 7.2517 5.0708 10.8535
P 9.1677 8.3412 3.7146
P 7.9266 3.8290 3.7291
P 10.5316 8.3656 10.8090
P 9.1698 3.1115 6.3563
P 11.7691 7.6149 13.4031
P 10.4627 3.1189 13.4351
P 12.3962 6.4028 6.3179
P 12.3970 4.9927 3.6843
P 11.7678 3.8262 10.8525
O 0.0691 0.0246 1.8737
O 0.0628 0.0802 8.9899
O 4.2409 7.2983 11.1470
O 0.8150 1.2628 3.9654
O 3.0203 4.9930 11.0285
O 2.1964 3.4975 3.9063
O 1.4257 1.7450 13.2971
O 4.1834 6.3522 6.1436
O 4.1804 5.0266 3.8922
O 2.7770 2.4944 11.1134
O 1.4852 0.1240 11.1313
O 5.6482 7.2323 3.9858
O 3.4456 2.8845 6.1264
O 4.3179 4.1692 13.1703
O 5.6958 6.5447 13.3224
O 2.2961 0.4671 6.1188
O 5.7140 5.1130 11.0458
O 3.5260 1.2159 3.9599
O 6.8387 6.4331 6.2171
O 7.7287 7.9864 13.3929
O 4.8588 2.8551 8.2037
O 4.1637 1.6459 13.2472
O 5.6160 4.0833 6.0458
O 4.9614 2.7350 1.0890
O 6.8513 4.9311 3.9013
O 4.1254 0.1824 11.0288
O 8.8647 7.7333 2.4002
O 7.8198 5.7347 0.4750
O 8.7489 7.3581 4.9025
O 7.8446 5.8079 12.1519
O 8.8317 7.4651 7.4273
O 7.8007 5.6893 9.6311
O 5.6416 1.5706 6.1480
O 6.3636 2.8134 13.1595
O 7.7094 3.5777 11.0052
O 5.8012 0.1691 3.9338
O 6.4151 1.2191 11.0546
O 7.1808 2.4501 3.9422
O 10.7716 7.7201 9.4949
O 8.7366 3.9155 2.5029
O 10.7976 7.4404 0.3064
O 8.8653 3.9769 5.0316
O 8.8964 3.9052 7.5723
O 10.9477 7.3995 12.0106
O 8.3412 1.7974 6.1552
O 8.9351 2.7950 13.3226
O 11.9373 7.8921 6.2977
O 7.7364 0.4503 13.2986
O 9.0663 1.3137 11.1172
O 8.3969 0.0576 4.0010
O 11.7863 5.7629 4.9681
O 10.7435 3.9609 12.0669
O 10.7814 3.8440 0.3884
O 11.8301 5.5624 2.4488
O 11.8697 5.6492 7.4895
O 11.0765 3.8552 9.5401
O 10.6842 2.7456 6.2482
O 12.7992 6.4403 13.3675

***

--- x ---
86
Lattice="9.6882 0.0000 0.0000 4.7860 8.4703 0.0000 0.1270 0.3425 14.3692" Properties=species:S:1:pos:R:3 comment="PBE with a Hubbard U Li3V3P8O29, optimized geometry" magmom_total_mub_per_atom=0.0000 mass_density_g_cm3=2.49 pbc="T T T"
Li 0.0000 0.0000 0.0000
Li 3.7400 6.4664 7.9052
Li 4.1876 5.6929 0.8524
Li 3.4916 2.9983 1.7301
Li 4.8599 3.2089 8.9047
Li 6.8498 5.1648 7.2118
V 2.0365 2.1293 4.5684
V 1.5509 1.1996 11.5484
V 8.4349 5.8305 4.3346
V 6.4065 2.2816 11.6880
V 9.6856 5.9877 11.6867
V 6.9251 1.0123 4.4293
P 4.8077 8.4597 3.1103
P 2.3502 4.1640 10.4316
P 6.0291 7.6309 5.6971
P 3.5916 3.3259 12.9957
P 6.6898 6.7048 12.8848
P 4.8760 3.1560 5.8027
P 6.0488 3.9472 3.1990
P 6.8323 5.2154 10.2952
P 4.1727 0.2169 2.7920
P 4.2887 0.3166 9.9604
P 8.9644 3.0473 6.1094
P 9.1398 3.1555 13.3074
P 11.3142 6.5364 5.7261
P 12.0313 7.8465 12.9230
P 13.2032 8.5932 10.2965
P 11.3874 5.0719 3.1200
O 0.2415 0.4782 10.4663
O 0.7767 1.3156 3.3991
O 1.6094 2.7888 10.5518
O 2.1129 3.5697 3.2642
O 5.0871 7.8226 1.7962
O 3.1703 4.3360 11.8212
O 3.2942 4.2472 9.2845
O 5.1213 7.4438 6.8509
O 5.2226 7.4627 4.3010
O 3.3709 3.9739 14.3136
O 1.9499 0.5611 5.5881
O 6.2545 8.2093 12.8120
O 3.3429 2.9201 5.6844
O 2.8201 2.0126 12.7374
O 3.4621 1.4609 3.4390
O 6.0365 6.0664 14.0491
O 2.8242 0.3341 10.6016
O 5.0678 4.1046 2.0895
O 6.1513 6.0485 11.4917
O 5.2497 4.1520 4.6028
O 5.2713 3.8348 7.0833
O 6.4533 5.7776 8.9716
O 5.1081 3.0437 12.7581
O 7.1159 6.5165 5.6531
O 4.1272 0.2661 1.3115
O 8.2617 7.4057 3.4160
O 4.2303 0.3022 8.4806
O 4.9651 1.6036 10.5392
O 6.2903 3.7556 10.4152
O 7.1079 5.0889 3.2297
O 8.2459 6.6309 12.7700
O 5.6004 1.8215 5.5502
O 6.7615 2.5824 3.3041
O 8.3567 5.2223 10.5877
O 5.6081 0.1730 3.4150
O 9.7406 7.5530 10.6592
O 8.2566 4.2907 5.4634
O 7.7004 3.1557 12.6156
O 6.4899 0.7398 12.7566
O 9.7737 6.4777 5.5079
O 7.6246 1.4387 10.5160
O 9.8181 5.1493 3.2750
O 8.9208 3.0916 7.5890
O 10.9719 6.7190 12.8789
O 11.7460 8.0289 5.5751
O 8.2900 1.8055 5.4324
O 8.9482 2.7965 0.4180
O 9.8307 4.4122 12.6781
O 11.0003 5.3057 10.4755
O 8.1909 0.2616 3.2935
O 12.9061 7.8453 9.0650
O 11.8526 5.9283 6.9557
O 12.8858 7.6622 11.5716
O 12.9703 7.7697 14.0738
O 11.9505 5.7934 4.4420
O 10.4405 3.0260 5.5118
O 11.9960 5.6653 1.9124
O 9.8378 1.8783 12.7347

***

In eV/atom, relative to the most stable structure: w 0.006; x 0.000.